Density functional theory data (PBE+U) for crystalline BaNa5LiCo5F18 at its relaxed geometry.

Cell: 6.923 6.936 17.415 Å, 97.60 97.61 109.46°
Positions (direct):
Ba  0.000  0.000  0.000
Ba  0.332  0.332  0.663
Na  0.153  0.666  0.827
Na  0.162  0.168  0.332
Na  0.343  0.840  0.164
Na  0.495  0.508  0.001
Na  0.509  0.000  0.500
Na  0.655  0.157  0.833
Na  0.658  0.667  0.331
Na  0.814  0.330  0.160
Na  0.827  0.842  0.666
Na  0.977  0.485  0.500
Li  0.499  0.999  0.998
Li  0.832  0.333  0.665
Co  0.162  0.665  0.331
Co  0.165  0.167  0.832
Co  0.331  0.832  0.663
Co  0.334  0.336  0.168
Co  0.498  0.499  0.494
Co  0.664  0.167  0.331
Co  0.664  0.666  0.832
Co  0.829  0.833  0.168
Co  0.993  0.995  0.495
Co  0.997  0.499  0.999
F  0.040  0.322  0.761
F  0.080  0.565  0.635
F  0.086  0.891  0.397
F  0.098  0.390  0.098
F  0.128  0.035  0.164
F  0.157  0.355  0.933
F  0.171  0.975  0.729
F  0.202  0.298  0.499
F  0.231  0.941  0.566
F  0.246  0.443  0.267
F  0.250  0.764  0.029
F  0.287  0.007  0.899
F  0.372  0.663  0.427
F  0.401  0.896  0.301
F  0.419  0.230  0.068
F  0.430  0.724  0.761
F  0.460  0.366  0.827
F  0.490  0.690  0.596
F  0.505  0.309  0.396
F  0.538  0.633  0.173
F  0.566  0.273  0.236
F  0.582  0.775  0.930
F  0.583  0.096  0.694
F  0.625  0.343  0.565
F  0.705  0.987  0.097
F  0.746  0.233  0.969
F  0.750  0.562  0.733
F  0.763  0.057  0.427
F  0.790  0.699  0.490
F  0.824  0.026  0.267
F  0.837  0.642  0.066
F  0.868  0.966  0.836
F  0.898  0.609  0.902
F  0.910  0.107  0.594
F  0.927  0.435  0.364
F  0.956  0.667  0.236

Its space group is No. 1. The calculation puts the energy of formation at -2.740 eV/atom.



Density functional theory data (PBE+U) for crystalline Ba6Co6O16F at its relaxed geometry.

Cell: 14.437 5.804 5.804 Å, 59.35 90.00 90.00°
Positions (direct):
Ba  0.000  0.000  0.000
Ba  0.147  0.662  0.662
Ba  0.312  0.999  0.999
Ba  0.500  0.318  0.318
Ba  0.688  0.999  0.999
Ba  0.853  0.662  0.662
Co  0.085  0.327  0.327
Co  0.256  0.327  0.327
Co  0.382  0.675  0.675
Co  0.618  0.675  0.675
Co  0.744  0.327  0.327
Co  0.915  0.327  0.327
O  0.000  0.033  0.484
O  0.000  0.477  0.477
O  0.000  0.484  0.033
O  0.156  0.171  0.171
O  0.169  0.181  0.618
O  0.169  0.618  0.181
O  0.334  0.013  0.486
O  0.334  0.486  0.013
O  0.351  0.505  0.505
O  0.500  0.742  0.742
O  0.649  0.505  0.505
O  0.666  0.013  0.486
O  0.666  0.486  0.013
O  0.831  0.181  0.618
O  0.831  0.618  0.181
O  0.844  0.171  0.171
F  0.500  0.053  0.053

Its space group is No. 38. The calculation puts the energy of formation at -2.123 eV/atom.



Density functional theory data (PBE+U) for crystalline Ba2Ho2FeCo3O12 at its relaxed geometry.

Cell: 3.955 3.955 15.151 Å, 90.00 90.00 90.00°
Positions (direct):
Ba  0.000  0.000  0.000
Ba  0.000  0.000  0.495
Ho  0.000  0.000  0.249
Ho  0.000  0.000  0.753
Fe  0.500  0.500  0.628
Co  0.500  0.500  0.129
Co  0.500  0.500  0.369
Co  0.500  0.500  0.873
O  0.000  0.500  0.141
O  0.000  0.500  0.356
O  0.000  0.500  0.641
O  0.000  0.500  0.858
O  0.500  0.000  0.141
O  0.500  0.000  0.356
O  0.500  0.000  0.641
O  0.500  0.000  0.858
O  0.500  0.500  0.251
O  0.500  0.500  0.493
O  0.500  0.500  0.756
O  0.500  0.500  0.997

Its space group is No. 99. The calculation puts the energy of formation at -2.239 eV/atom.



Density functional theory data (PBE+U) for crystalline BaNdFeCoO6 at its relaxed geometry.

Cell: 3.910 3.910 7.915 Å, 90.00 90.00 90.00°
Positions (direct):
Ba  0.000  0.000  0.000
Nd  0.000  0.000  0.508
Fe  0.500  0.500  0.257
Co  0.500  0.500  0.752
O  0.000  0.500  0.279
O  0.000  0.500  0.725
O  0.500  0.000  0.279
O  0.500  0.000  0.725
O  0.500  0.500  0.006
O  0.500  0.500  0.510

Its space group is No. 99. The calculation puts the energy of formation at -2.336 eV/atom.



Density functional theory data (PBE+U) for crystalline Ba2Nd2FeCo3O12 at its relaxed geometry.

Cell: 3.940 8.748 8.748 Å, 53.63 90.00 90.00°
Positions (direct):
Ba  0.000  0.247  0.753
Ba  0.000  0.753  0.247
Nd  0.000  0.496  0.999
Nd  0.000  0.999  0.496
Fe  0.500  0.371  0.371
Co  0.500  0.125  0.125
Co  0.500  0.626  0.626
Co  0.500  0.871  0.871
O  0.000  0.138  0.138
O  0.000  0.365  0.365
O  0.000  0.639  0.639
O  0.000  0.861  0.861
O  0.500  0.110  0.612
O  0.500  0.247  0.247
O  0.500  0.375  0.896
O  0.500  0.507  0.507
O  0.500  0.612  0.110
O  0.500  0.744  0.744
O  0.500  0.896  0.375
O  0.500  0.999  0.999

Its space group is No. 38. The calculation puts the energy of formation at -2.270 eV/atom.



Density functional theory data (PBE+U) for crystalline BaSr7Fe7CoO20 at its relaxed geometry.

Cell: 11.147 11.526 17.882 Å, 108.58 108.08 90.09°
Positions (direct):
Ba  0.000  0.000  0.000
Ba  0.004  0.501  0.000
Ba  0.255  0.744  0.001
Ba  0.499  0.000  0.000
Sr  0.004  0.006  0.504
Sr  0.004  0.508  0.504
Sr  0.112  0.100  0.722
Sr  0.112  0.594  0.721
Sr  0.113  0.100  0.224
Sr  0.120  0.598  0.224
Sr  0.253  0.240  0.006
Sr  0.254  0.239  0.504
Sr  0.254  0.737  0.504
Sr  0.361  0.866  0.720
Sr  0.362  0.363  0.721
Sr  0.365  0.371  0.225
Sr  0.365  0.871  0.226
Sr  0.503  0.508  0.005
Sr  0.504  0.007  0.505
Sr  0.504  0.509  0.505
Sr  0.612  0.595  0.721
Sr  0.612  0.597  0.225
Sr  0.613  0.099  0.723
Sr  0.614  0.101  0.225
Sr  0.749  0.737  0.005
Sr  0.754  0.239  0.504
Sr  0.754  0.737  0.504
Sr  0.755  0.238  0.007
Sr  0.862  0.362  0.720
Sr  0.862  0.366  0.225
Sr  0.862  0.864  0.718
Sr  0.862  0.867  0.225
Fe  0.055  0.301  0.611
Fe  0.056  0.803  0.614
Fe  0.060  0.305  0.121
Fe  0.060  0.809  0.123
Fe  0.193  0.890  0.853
Fe  0.203  0.393  0.365
Fe  0.203  0.893  0.365
Fe  0.205  0.390  0.861
Fe  0.305  0.051  0.612
Fe  0.307  0.552  0.615
Fe  0.450  0.703  0.857
Fe  0.452  0.213  0.864
Fe  0.454  0.216  0.368
Fe  0.454  0.715  0.367
Fe  0.555  0.302  0.612
Fe  0.556  0.303  0.115
Fe  0.556  0.803  0.614
Fe  0.695  0.889  0.856
Fe  0.696  0.390  0.861
Fe  0.703  0.394  0.365
Fe  0.704  0.893  0.366
Fe  0.805  0.051  0.612
Fe  0.806  0.552  0.614
Fe  0.810  0.555  0.121
Fe  0.942  0.708  0.857
Fe  0.950  0.209  0.861
Fe  0.953  0.214  0.367
Fe  0.953  0.712  0.364
Co  0.310  0.555  0.118
Co  0.312  0.061  0.126
Co  0.563  0.809  0.127
Co  0.811  0.058  0.124
O  0.108  0.743  0.852
O  0.113  0.896  0.744
O  0.117  0.897  0.256
O  0.119  0.395  0.752
O  0.120  0.398  0.256
O  0.123  0.242  0.862
O  0.125  0.243  0.365
O  0.125  0.742  0.364
O  0.177  0.420  0.604
O  0.178  0.922  0.603
O  0.182  0.422  0.112
O  0.183  0.929  0.115
O  0.185  0.682  0.620
O  0.186  0.181  0.621
O  0.189  0.688  0.126
O  0.191  0.184  0.126
O  0.222  0.009  0.957
O  0.227  0.008  0.473
O  0.227  0.507  0.473
O  0.237  0.501  0.969
O  0.361  0.846  0.852
O  0.367  0.099  0.264
O  0.368  0.098  0.755
O  0.368  0.590  0.747
O  0.372  0.599  0.261
O  0.375  0.864  0.366
O  0.376  0.365  0.366
O  0.378  0.363  0.861
O  0.426  0.925  0.604
O  0.427  0.423  0.603
O  0.429  0.936  0.116
O  0.432  0.429  0.110
O  0.434  0.185  0.125
O  0.434  0.679  0.620
O  0.435  0.178  0.621
O  0.447  0.689  0.125
O  0.478  0.220  0.976
O  0.480  0.710  0.476
O  0.481  0.210  0.477
O  0.481  0.699  0.965
O  0.609  0.895  0.747
O  0.612  0.394  0.751
O  0.621  0.398  0.256
O  0.621  0.901  0.259
O  0.623  0.739  0.860
O  0.624  0.239  0.863
O  0.625  0.243  0.365
O  0.626  0.743  0.366
O  0.673  0.911  0.111
O  0.676  0.420  0.604
O  0.677  0.922  0.605
O  0.680  0.425  0.109
O  0.684  0.187  0.124
O  0.685  0.182  0.621
O  0.685  0.682  0.621
O  0.690  0.678  0.125
O  0.724  0.008  0.962
O  0.725  0.504  0.969
O  0.728  0.507  0.474
O  0.729  0.008  0.474
O  0.861  0.853  0.851
O  0.862  0.590  0.749
O  0.863  0.352  0.854
O  0.867  0.098  0.261
O  0.868  0.598  0.256
O  0.870  0.093  0.752
O  0.875  0.364  0.366
O  0.876  0.862  0.365
O  0.926  0.923  0.602
O  0.927  0.423  0.604
O  0.928  0.920  0.111
O  0.929  0.429  0.112
O  0.935  0.179  0.621
O  0.935  0.678  0.620
O  0.937  0.680  0.125
O  0.940  0.188  0.126
O  0.972  0.716  0.969
O  0.978  0.219  0.973
O  0.979  0.707  0.473
O  0.980  0.209  0.476

Its space group is No. 1. The calculation puts the energy of formation at -1.638 eV/atom.



Density functional theory data (PBE+U) for crystalline BaSr7Fe6Co2O24 at its relaxed geometry.

Cell: 7.883 7.822 7.822 Å, 89.80 90.00 90.00°
Positions (direct):
Ba  0.000  0.000  0.000
Sr  0.000  0.000  0.496
Sr  0.000  0.496  0.000
Sr  0.000  0.496  0.496
Sr  0.500  0.000  0.000
Sr  0.500  0.000  0.496
Sr  0.500  0.496  0.000
Sr  0.500  0.496  0.496
Fe  0.251  0.249  0.747
Fe  0.251  0.747  0.249
Fe  0.251  0.747  0.747
Fe  0.749  0.249  0.747
Fe  0.749  0.747  0.249
Fe  0.749  0.747  0.747
Co  0.252  0.249  0.249
Co  0.748  0.249  0.249
O  0.000  0.252  0.252
O  0.000  0.252  0.744
O  0.000  0.744  0.252
O  0.000  0.744  0.744
O  0.251  0.250  0.489
O  0.251  0.489  0.250
O  0.251  0.497  0.747
O  0.251  0.747  0.497
O  0.254  0.007  0.251
O  0.254  0.251  0.007
O  0.254  0.744  0.999
O  0.254  0.999  0.744
O  0.500  0.249  0.249
O  0.500  0.249  0.747
O  0.500  0.747  0.249
O  0.500  0.747  0.747
O  0.746  0.007  0.251
O  0.746  0.251  0.007
O  0.746  0.744  0.999
O  0.746  0.999  0.744
O  0.749  0.250  0.489
O  0.749  0.489  0.250
O  0.749  0.497  0.747
O  0.749  0.747  0.497

Its space group is No. 38. The calculation puts the energy of formation at -2.145 eV/atom.



Density functional theory data (PBE+U) for crystalline BaSr7Fe7CoO24 at its relaxed geometry.

Cell: 7.858 7.858 7.858 Å, 89.99 89.99 89.99°
Positions (direct):
Ba  0.000  0.000  0.000
Sr  0.000  0.000  0.500
Sr  0.000  0.500  0.000
Sr  0.000  0.500  0.500
Sr  0.500  0.000  0.000
Sr  0.500  0.000  0.500
Sr  0.500  0.500  0.000
Sr  0.500  0.500  0.500
Fe  0.251  0.251  0.251
Fe  0.251  0.251  0.749
Fe  0.251  0.749  0.251
Fe  0.251  0.749  0.749
Fe  0.749  0.251  0.251
Fe  0.749  0.251  0.749
Fe  0.749  0.749  0.251
Co  0.749  0.749  0.749
O  0.001  0.253  0.253
O  0.250  0.501  0.750
O  0.250  0.750  0.501
O  0.251  0.251  0.499
O  0.251  0.499  0.251
O  0.253  0.001  0.253
O  0.253  0.253  0.001
O  0.253  0.747  0.999
O  0.253  0.999  0.747
O  0.499  0.251  0.251
O  0.501  0.250  0.750
O  0.501  0.750  0.250
O  0.507  0.750  0.750
O  0.747  0.253  0.999
O  0.747  0.747  0.993
O  0.747  0.993  0.747
O  0.747  0.999  0.253
O  0.750  0.250  0.501
O  0.750  0.501  0.250
O  0.750  0.507  0.750
O  0.750  0.750  0.507
O  0.993  0.747  0.747
O  0.999  0.253  0.747
O  0.999  0.747  0.253

Its space group is No. 160. The calculation puts the energy of formation at -2.170 eV/atom.



Density functional theory data (PBE+U) for crystalline BaGdCo2O5 at its relaxed geometry.

Cell: 3.845 4.023 7.659 Å, 90.00 90.00 90.00°
Positions (direct):
Ba  0.000  0.000  0.000
Gd  0.000  0.000  0.500
Co  0.500  0.500  0.256
Co  0.500  0.500  0.744
O  0.000  0.500  0.315
O  0.000  0.500  0.685
O  0.500  0.000  0.308
O  0.500  0.000  0.692
O  0.500  0.500  0.000

Its space group is No. 47. The calculation puts the energy of formation at -2.345 eV/atom.



| no. | total DFT energy (no corrections) (eV per cell) |
| --- | --- |
| 1 | -292.253 |
| 2 | -175.518 |
| 3 | -131.543 |
| 4 | -67.299 |
| 5 | -132.539 |
| 6 | -827.592 |
| 7 | -250.029 |
| 8 | -251.772 |
| 9 | -69.346 |